Entry 1:
Density functional theory data (PBE with a Hubbard U) for a geometry-optimized LiFePO4 structure.

Cell lengths 4.7635, 6.9154, 9.5412 Å; angles 90.00, 90.00, 90.00 degrees
Last column: nearest neighbours and their distance in Å.
Space group P2_12_12_1 (No. 19)
Unique sites:
1 Li 0.0079 0.0949 0.0321 (multiplicity 4)  3 O 1.93-1.99
2 Fe 0.0443 0.2316 0.6859 (multiplicity 4)  4 O 2.10-2.30
3 P 0.0937 0.0031 0.3461 (multiplicity 4)  4 O 1.54-1.57
4 O 0.2132 0.1688 0.4402 (multiplicity 4)  1 P 1.56
5 O 0.2155 0.8046 0.3935 (multiplicity 4)  1 P 1.56
6 O 0.2303 0.5033 0.1576 (multiplicity 4)  1 P 1.54
7 O 0.2344 0.0350 0.1987 (multiplicity 4)  1 P 1.57

## Properties
For the distance to the lowest polymorph of the same formula, the calculation gives 76 meV/atom. The calculation puts the energy with MP2020 corrections at -7.488 eV/atom. The value obtained for the magnetization is 16.00 Bohr magnetons per cell.

---

Entry 2:
Density functional theory data (PBE with a Hubbard U) for a geometry-optimized Li2FeP2O7 structure.

Cell lengths 7.7900, 5.0865, 7.8967 Å; angles 90.00, 90.72, 90.00 degrees
Last column: nearest neighbours and their distance in Å.
Space group P2 (No. 3)
Unique sites:
1 Li 0.2264 0.0000 0.2292 (multiplicity 2)  2 O 1.90-2.12
2 Li 0.2716 0.0600 0.7313 (multiplicity 2)  2 O 1.90-2.12
3 Fe 0.0000 0.5305 0.5000 (multiplicity 1)  4 O 2.04-2.05
4 Fe 0.5000 0.5246 0.0000 (multiplicity 1)  4 O 2.03-2.05
5 P 0.1385 0.6261 0.8601 (multiplicity 2)  4 O 1.50-1.62
6 P 0.3600 0.4365 0.3593 (multiplicity 2)  4 O 1.50-1.62
7 O 0.0000 0.7128 0.0000 (multiplicity 1)  2 P 1.62
8 O 0.0739 0.7676 0.6973 (multiplicity 2)  1 P 1.55
9 O 0.1525 0.3320 0.8462 (multiplicity 2)  1 P 1.50
10 O 0.1931 0.2959 0.4145 (multiplicity 2)  1 P 1.55
11 O 0.3049 0.7673 0.9197 (multiplicity 2)  1 P 1.55
12 O 0.3479 0.7309 0.3480 (multiplicity 2)  1 P 1.50
13 O 0.4204 0.2970 0.1957 (multiplicity 2)  1 P 1.55
14 O 0.5000 0.3441 0.5000 (multiplicity 1)  2 P 1.62

## Properties
For the distance to the lowest polymorph of the same formula, the calculation gives 71 meV/atom. The calculation puts the energy with MP2020 corrections at -7.312 eV/atom. The value obtained for the magnetization is 8.00 Bohr magnetons per cell.

---

Entry 3:
Density functional theory data (PBE with a Hubbard U) for a geometry-optimized LiFe2P2O8 structure.

Cell lengths 5.4148, 6.3660, 8.1566 Å; angles 90.00, 90.00, 90.00 degrees
Last column: nearest neighbours and their distance in Å.
Space group Pmn2_1 (No. 31)
Unique sites:
1 Li 0.0000 0.0067 0.0000 (multiplicity 2)  4 O 1.99-2.11
2 Fe 0.0000 0.2623 0.3343 (multiplicity 2)  6 O 1.97-2.18
3 Fe 0.0000 0.7414 0.3297 (multiplicity 2)  4 O 1.99-2.19
4 P 0.0000 0.5126 0.9798 (multiplicity 2)  4 O 1.53-1.57
5 P 0.0000 0.9871 0.6734 (multiplicity 2)  4 O 1.51-1.59
6 O 0.0000 0.1870 0.5687 (multiplicity 2)  1 P 1.53
7 O 0.0000 0.3101 0.0859 (multiplicity 2)  1 P 1.55
8 O 0.0000 0.7134 0.0833 (multiplicity 2)  1 P 1.53
9 O 0.0000 0.7910 0.5700 (multiplicity 2)  1 P 1.51
10 O 0.2322 0.9876 0.7928 (multiplicity 4)  1 P 1.59
11 O 0.2356 0.5133 0.8677 (multiplicity 4)  1 P 1.57

## Properties
For the distance to the lowest polymorph of the same formula, the calculation gives 5 meV/atom. The calculation puts the energy with MP2020 corrections at -7.711 eV/atom. The value obtained for the magnetization is 18.00 Bohr magnetons per cell.

---

Entry 4:
Density functional theory data (PBE with a Hubbard U) for a geometry-optimized LiFePO4 structure.

Cell lengths 5.6054, 6.3199, 9.2068 Å; angles 75.68, 83.13, 76.40 degrees
Last column: nearest neighbours and their distance in Å.
Space group P1 (No. 1)
Unique sites:
1 Li 0.0000 0.0000 0.0000 (multiplicity 1)  4 O 1.96-2.16
2 Li 0.2031 0.1616 0.3576 (multiplicity 1)  4 O 2.03-2.27
3 Li 0.5499 0.8840 0.1539 (multiplicity 1)  3 O 2.04-2.19
4 Li 0.7594 0.0459 0.5102 (multiplicity 1)  4 O 2.01-2.16
5 Fe 0.1094 0.3560 0.6678 (multiplicity 1)  5 O 2.07-2.26
6 Fe 0.2283 0.4677 0.0513 (multiplicity 1)  3 O 2.02-2.17
7 Fe 0.5515 0.5750 0.4655 (multiplicity 1)  4 O 2.05-2.25
8 Fe 0.6593 0.6946 0.8411 (multiplicity 1)  5 O 2.06-2.23
9 P 0.0685 0.7025 0.3298 (multiplicity 1)  4 O 1.55-1.57
10 P 0.1874 0.8332 0.7026 (multiplicity 1)  4 O 1.55-1.56
11 P 0.5795 0.2245 0.8058 (multiplicity 1)  4 O 1.55-1.56
12 P 0.6997 0.3405 0.1801 (multiplicity 1)  4 O 1.55-1.58
13 O 0.0017 0.6886 0.6946 (multiplicity 1)  1 P 1.56
14 O 0.0448 0.7001 0.1633 (multiplicity 1)  1 P 1.56
15 O 0.0841 0.0695 0.6057 (multiplicity 1)  1 P 1.55
16 O 0.1709 0.4624 0.4249 (multiplicity 1)  1 P 1.57
17 O 0.2207 0.8296 0.8678 (multiplicity 1)  1 P 1.55
18 O 0.2636 0.8406 0.3354 (multiplicity 1)  1 P 1.56
19 O 0.3185 0.3214 0.8711 (multiplicity 1)  1 P 1.56
20 O 0.4521 0.7393 0.6397 (multiplicity 1)  1 P 1.56
21 O 0.5001 0.2041 0.1766 (multiplicity 1)  1 P 1.57
22 O 0.5408 0.2383 0.6384 (multiplicity 1)  1 P 1.56
23 O 0.5964 0.5813 0.0834 (multiplicity 1)  1 P 1.58
24 O 0.6783 0.9855 0.8988 (multiplicity 1)  1 P 1.55
25 O 0.7254 0.3434 0.3456 (multiplicity 1)  1 P 1.55
26 O 0.7706 0.3635 0.8130 (multiplicity 1)  1 P 1.55
27 O 0.8070 0.8002 0.3929 (multiplicity 1)  1 P 1.55
28 O 0.9570 0.2405 0.1154 (multiplicity 1)  1 P 1.55

## Properties
For the distance to the lowest polymorph of the same formula, the calculation gives 66 meV/atom. The calculation puts the energy with MP2020 corrections at -7.498 eV/atom. The value obtained for the magnetization is 0.00 Bohr magnetons per cell.

---

Entry 5:
Density functional theory data (PBE with a Hubbard U) for a geometry-optimized Li2FeP2O7 structure.

Cell lengths 5.1322, 7.0499, 16.3168 Å; angles 84.65, 81.16, 69.79 degrees
Last column: nearest neighbours and their distance in Å.
Space group P1 (No. 1)
Unique sites:
1 Li 0.0000 0.0000 0.0000 (multiplicity 1)  4 O 2.06-2.17
2 Li 0.0152 0.4005 0.3875 (multiplicity 1)  4 O 1.99-2.15
3 Li 0.3389 0.5604 0.8712 (multiplicity 1)  4 O 1.99-2.15
4 Li 0.3572 0.9611 0.2577 (multiplicity 1)  4 O 2.06-2.17
5 Li 0.4981 0.5059 0.4991 (multiplicity 1)  4 O 2.07-2.15
6 Li 0.5217 0.8999 0.8860 (multiplicity 1)  4 O 1.98-2.14
7 Li 0.8365 0.0601 0.3717 (multiplicity 1)  4 O 1.98-2.14
8 Li 0.8539 0.4602 0.7596 (multiplicity 1)  4 O 2.06-2.13
9 Fe 0.4076 0.2472 0.0476 (multiplicity 1)  5 O 2.09-2.21
10 Fe 0.4459 0.2137 0.7096 (multiplicity 1)  5 O 2.07-2.21
11 Fe 0.9056 0.7464 0.5485 (multiplicity 1)  5 O 2.06-2.21
12 Fe 0.9489 0.7130 0.2105 (multiplicity 1)  5 O 2.09-2.21
13 P 0.0194 0.0015 0.8072 (multiplicity 1)  4 O 1.53-1.63
14 P 0.3385 0.9602 0.4502 (multiplicity 1)  4 O 1.53-1.63
15 P 0.3927 0.6846 0.6821 (multiplicity 1)  4 O 1.51-1.60
16 P 0.4698 0.7740 0.0753 (multiplicity 1)  4 O 1.51-1.60
17 P 0.5130 0.5030 0.3078 (multiplicity 1)  4 O 1.53-1.63
18 P 0.8425 0.4572 0.9504 (multiplicity 1)  4 O 1.53-1.63
19 P 0.8875 0.1862 0.1827 (multiplicity 1)  4 O 1.51-1.60
20 P 0.9706 0.2722 0.5766 (multiplicity 1)  4 O 1.51-1.60
21 O 0.0816 0.3193 0.6501 (multiplicity 1)  1 P 1.51
22 O 0.1185 0.1849 0.8000 (multiplicity 1)  1 P 1.53
23 O 0.1302 0.8601 0.8808 (multiplicity 1)  1 P 1.53
24 O 0.1579 0.4027 0.9537 (multiplicity 1)  1 P 1.54
25 O 0.1587 0.2366 0.1606 (multiplicity 1)  1 P 1.54
26 O 0.1605 0.8821 0.7219 (multiplicity 1)  2 P 1.60-1.63
27 O 0.1977 0.5568 0.3044 (multiplicity 1)  1 P 1.54
28 O 0.1987 0.7235 0.0975 (multiplicity 1)  1 P 1.54
29 O 0.2156 0.0828 0.5353 (multiplicity 1)  2 P 1.60-1.63
30 O 0.2267 0.1021 0.3768 (multiplicity 1)  1 P 1.54
31 O 0.2279 0.7820 0.4591 (multiplicity 1)  1 P 1.53
32 O 0.2812 0.6420 0.6079 (multiplicity 1)  1 P 1.51
33 O 0.4273 0.9504 0.0081 (multiplicity 1)  1 P 1.56
34 O 0.4339 0.5082 0.7495 (multiplicity 1)  1 P 1.56
35 O 0.5862 0.8153 0.1490 (multiplicity 1)  1 P 1.51
36 O 0.6112 0.6863 0.3007 (multiplicity 1)  1 P 1.53
37 O 0.6207 0.3622 0.3819 (multiplicity 1)  1 P 1.54
38 O 0.6535 0.3827 0.2230 (multiplicity 1)  2 P 1.60-1.63
39 O 0.6550 0.8982 0.4511 (multiplicity 1)  1 P 1.53
40 O 0.6644 0.7353 0.6606 (multiplicity 1)  1 P 1.54
41 O 0.7037 0.5773 0.0353 (multiplicity 1)  2 P 1.60-1.63
42 O 0.7057 0.0549 0.8038 (multiplicity 1)  1 P 1.53
43 O 0.7105 0.2085 0.5997 (multiplicity 1)  1 P 1.53
44 O 0.7342 0.5989 0.8765 (multiplicity 1)  1 P 1.54
45 O 0.7427 0.2746 0.9574 (multiplicity 1)  1 P 1.53
46 O 0.7715 0.1453 0.1089 (multiplicity 1)  1 P 1.51
47 O 0.9163 0.4505 0.5100 (multiplicity 1)  1 P 1.56
48 O 0.9299 0.0096 0.2498 (multiplicity 1)  1 P 1.56

## Properties
For the distance to the lowest polymorph of the same formula, the calculation gives 43 meV/atom. The calculation puts the energy with MP2020 corrections at -7.341 eV/atom. The value obtained for the magnetization is 0.00 Bohr magnetons per cell.

---

Entry 6:
Density functional theory data (PBE with a Hubbard U) for a geometry-optimized LiFePO4 structure.

Cell lengths 10.3305, 6.8610, 5.1285 Å; angles 90.00, 90.00, 90.00 degrees
Last column: nearest neighbours and their distance in Å.
Space group Pna2_1 (No. 33)
Unique sites:
1 Li 0.1475 0.0014 0.0000 (multiplicity 4)  4 O 1.99-2.08
2 Fe 0.1619 0.5017 0.0015 (multiplicity 4)  4 O 2.03-2.05
3 P 0.0970 0.2554 0.5052 (multiplicity 4)  4 O 1.55-1.56
4 O 0.0512 0.7434 0.9552 (multiplicity 4)  1 P 1.55
5 O 0.1268 0.2506 0.8033 (multiplicity 4)  1 P 1.56
6 O 0.1544 0.0693 0.3779 (multiplicity 4)  1 P 1.55
7 O 0.1627 0.4415 0.3921 (multiplicity 4)  1 P 1.56

## Properties
For the distance to the lowest polymorph of the same formula, the calculation gives 16 meV/atom. The calculation puts the energy with MP2020 corrections at -7.548 eV/atom. The value obtained for the magnetization is 16.00 Bohr magnetons per cell.